Entry 1:
Here is crystalline ZnFeSi4O10 at its relaxed geometry from the Materials Project database. Energies are from meta-GGA r2SCAN.

Summary:
- total moment (μB per formula unit) = 4.000
- space group = P4/ncc
- E_form (eV/atom) = -2.594

Structure (POSCAR):
```
ZnFeSi4O10
1.0
7.210 0.000 0.000
0.000 7.210 0.000
0.000 0.000 14.782
Si O Zn Fe
16 40 4 4
Direct
0.763 0.158 0.355
0.342 0.263 0.355
0.158 0.763 0.145
0.237 0.158 0.855
0.263 0.342 0.145
0.263 0.658 0.645
0.158 0.237 0.645
0.737 0.658 0.145
0.237 0.842 0.355
0.842 0.763 0.645
0.737 0.342 0.645
0.658 0.737 0.355
0.342 0.737 0.855
0.763 0.842 0.855
0.842 0.237 0.145
0.658 0.263 0.855
0.249 0.437 0.626
0.583 0.269 0.574
0.417 0.269 0.074
0.751 0.437 0.126
0.231 0.083 0.574
0.937 0.251 0.626
0.083 0.769 0.426
0.269 0.583 0.926
0.186 0.186 0.750
0.751 0.563 0.626
0.251 0.937 0.874
0.437 0.249 0.874
0.769 0.917 0.574
0.251 0.063 0.374
0.249 0.563 0.126
0.269 0.417 0.426
0.417 0.731 0.574
0.063 0.749 0.626
0.314 0.314 0.250
0.917 0.769 0.926
0.686 0.686 0.250
0.186 0.814 0.250
0.583 0.731 0.074
0.937 0.749 0.126
0.814 0.186 0.250
0.231 0.917 0.074
0.814 0.814 0.750
0.437 0.751 0.374
0.063 0.251 0.126
0.083 0.231 0.926
0.731 0.417 0.926
0.749 0.063 0.874
0.769 0.083 0.074
0.314 0.686 0.750
0.917 0.231 0.426
0.563 0.751 0.874
0.731 0.583 0.426
0.563 0.249 0.374
0.686 0.314 0.750
0.749 0.937 0.374
0.500 0.500 0.000
0.500 0.500 0.500
0.000 0.000 0.000
0.000 0.000 0.500
0.500 0.000 0.067
0.000 0.500 0.933
0.000 0.500 0.433
0.500 0.000 0.567
```



Entry 2:
Here is crystalline Sm3FeO6 at its relaxed geometry from the Materials Project database. Energies are from meta-GGA r2SCAN.

Summary:
- total moment (μB per formula unit) = 5.000
- space group = Cmc2_1
- E_form (eV/atom) = -3.276

Structure (POSCAR):
```
Sm3FeO6
1.0
4.534 -5.685 0.000
4.534 5.685 0.000
0.000 0.000 5.550
Sm Fe O
6 2 12
Direct
0.799 0.587 0.543
0.897 0.103 0.498
0.103 0.897 0.998
0.413 0.201 0.543
0.201 0.413 0.043
0.587 0.799 0.043
0.308 0.692 0.574
0.692 0.308 0.074
0.394 0.917 0.748
0.540 0.460 0.219
0.460 0.540 0.719
0.284 0.716 0.239
0.083 0.606 0.748
0.854 0.826 0.271
0.826 0.854 0.771
0.146 0.174 0.771
0.917 0.394 0.248
0.716 0.284 0.739
0.606 0.083 0.248
0.174 0.146 0.271
```



Entry 3:
Here is crystalline Sr21Fe14O47 at its relaxed geometry from the Materials Project database. Energies are from meta-GGA r2SCAN.

Summary:
- total moment (μB per formula unit) = 59.475
- space group = P-1
- E_form (eV/atom) = -2.458

Structure (POSCAR):
```
Sr21Fe14O47
1.0
8.623 0.000 -0.002
-4.311 10.943 0.010
-1.729 -4.760 11.093
O Sr Fe
47 21 14
Direct
0.213 0.614 0.507
0.897 0.191 0.498
0.834 0.821 0.081
0.288 0.999 0.928
0.029 0.180 0.714
0.534 0.809 0.148
0.321 0.191 0.638
0.466 0.191 0.852
0.087 0.396 0.926
0.428 0.002 0.642
0.631 0.604 0.647
0.913 0.604 0.074
0.103 0.809 0.502
0.787 0.386 0.493
0.313 0.179 0.141
0.369 0.396 0.353
0.178 0.182 0.415
0.609 0.191 0.568
0.494 0.383 0.067
0.893 0.181 0.987
0.391 0.809 0.432
0.942 0.382 0.208
0.654 0.383 0.781
0.971 0.820 0.286
0.572 0.998 0.358
0.248 0.810 0.716
0.822 0.818 0.585
0.166 0.179 0.919
0.712 0.001 0.072
0.452 0.180 0.347
0.783 0.617 0.362
0.039 0.179 0.209
0.245 0.820 0.219
0.755 0.180 0.781
0.548 0.820 0.653
0.058 0.618 0.792
0.107 0.819 0.013
0.346 0.617 0.219
0.000 0.000 0.500
0.391 0.808 0.931
0.679 0.809 0.362
0.609 0.192 0.069
0.687 0.821 0.859
0.752 0.190 0.284
0.217 0.383 0.638
0.961 0.821 0.791
0.506 0.617 0.933
0.562 0.000 0.859
0.923 0.366 0.702
0.077 0.634 0.298
0.209 0.366 0.131
0.290 0.000 0.434
0.353 0.365 0.845
0.507 0.638 0.442
0.791 0.634 0.869
0.152 0.000 0.711
0.222 0.639 0.014
0.934 0.635 0.584
0.848 0.000 0.289
0.066 0.365 0.416
0.637 0.365 0.273
0.710 0.000 0.566
0.000 0.000 0.000
0.438 0.000 0.141
0.363 0.635 0.727
0.647 0.635 0.155
0.778 0.361 0.986
0.493 0.362 0.558
0.825 0.191 0.140
0.460 0.808 0.288
0.024 0.794 0.141
0.976 0.206 0.859
0.260 0.206 0.287
0.682 0.194 0.426
0.606 0.809 0.003
0.540 0.192 0.712
0.318 0.806 0.574
0.109 0.191 0.569
0.394 0.191 0.997
0.891 0.809 0.431
0.175 0.809 0.860
0.740 0.794 0.713
```



Entry 4:
Here is crystalline Sr12Fe8O27 at its relaxed geometry from the Materials Project database. Energies are from meta-GGA r2SCAN.

Summary:
- total moment (μB per formula unit) = 33.692
- space group = P-1
- E_form (eV/atom) = -2.455

Structure (POSCAR):
```
Sr12Fe8O27
1.0
-3.835 5.496 3.827
-2.318 -1.329 -8.190
-4.733 -8.542 3.627
O Sr Fe
27 12 8
Direct
0.187 0.285 0.180
0.306 0.045 0.180
0.948 0.805 0.180
0.388 0.588 0.384
0.813 0.715 0.820
0.899 0.602 0.384
0.500 0.000 0.000
0.929 0.453 0.810
0.251 0.502 0.000
0.101 0.398 0.616
0.447 0.800 0.191
0.695 0.295 0.191
0.052 0.195 0.820
0.553 0.200 0.809
0.071 0.547 0.190
0.749 0.498 0.000
0.429 0.453 0.810
0.152 0.100 0.396
0.642 0.096 0.382
0.170 0.955 0.818
0.612 0.412 0.616
0.305 0.705 0.809
0.848 0.900 0.604
0.571 0.547 0.190
0.358 0.904 0.618
0.694 0.955 0.820
0.830 0.045 0.182
0.513 0.343 0.365
0.614 0.742 0.000
0.487 0.657 0.635
0.989 0.659 0.635
0.738 0.159 0.635
0.760 0.840 0.362
0.240 0.160 0.638
0.262 0.841 0.365
0.129 0.743 0.000
0.386 0.258 0.000
0.011 0.341 0.365
0.871 0.257 0.000
0.078 0.052 0.206
0.922 0.948 0.794
0.571 0.048 0.191
0.321 0.546 0.193
0.177 0.451 0.807
0.429 0.952 0.809
0.823 0.549 0.193
0.679 0.454 0.807
```



Entry 5:
Here is crystalline Sr3Fe2O5 at its relaxed geometry from the Materials Project database. Energies are from meta-GGA r2SCAN.

Summary:
- total moment (μB per formula unit) = 7.223
- space group = C2/m
- E_form (eV/atom) = -2.374

Structure (POSCAR):
```
Sr3Fe2O5
1.0
3.502 0.000 -0.578
-0.119 3.856 -0.719
-0.042 -0.013 10.640
O Sr Fe
5 3 2
Direct
0.808 0.808 0.617
0.095 0.595 0.190
0.000 0.000 0.000
0.192 0.192 0.383
0.905 0.405 0.810
0.500 0.500 0.000
0.314 0.314 0.628
0.686 0.686 0.372
0.096 0.097 0.192
0.904 0.903 0.808
```



Entry 6:
Here is crystalline Sr4Fe4O11 at its relaxed geometry from the Materials Project database. Energies are from meta-GGA r2SCAN.

Summary:
- total moment (μB per formula unit) = 17.436
- space group = Cmmm
- E_form (eV/atom) = -2.317

Structure (POSCAR):
```
Sr4Fe4O11
1.0
0.206 1.279 -6.562
-5.979 1.683 2.480
1.848 5.035 1.039
O Fe Sr
11 4 4
Direct
0.105 0.345 0.761
0.731 0.269 0.500
0.500 0.500 0.000
0.655 0.895 0.239
0.105 0.345 0.239
0.655 0.895 0.761
0.269 0.731 0.500
0.895 0.655 0.761
0.345 0.105 0.761
0.895 0.655 0.239
0.345 0.105 0.239
0.749 0.749 0.000
0.500 0.000 0.500
0.251 0.251 0.000
0.000 0.500 0.500
0.500 0.500 0.500
0.260 0.740 0.000
0.000 0.000 0.500
0.740 0.260 0.000
```



Entry 7:
Here is crystalline Sr3Fe2O7 at its relaxed geometry from the Materials Project database. Energies are from meta-GGA r2SCAN.

Summary:
- total moment (μB per formula unit) = 7.940
- space group = I4/mmm
- E_form (eV/atom) = -2.431

Structure (POSCAR):
```
Sr3Fe2O7
1.0
-3.581 -1.109 0.758
1.291 -3.440 1.063
2.130 5.574 8.576
O Sr Fe
7 3 2
Direct
0.808 0.808 0.615
0.405 0.905 0.810
0.595 0.095 0.190
0.192 0.192 0.385
0.000 0.000 0.000
0.095 0.595 0.190
0.905 0.405 0.810
0.683 0.683 0.366
0.317 0.317 0.634
0.500 0.500 0.000
0.903 0.903 0.807
0.097 0.097 0.193
```



Entry 8:
Here is crystalline SrFe2O4 at its relaxed geometry from the Materials Project database. Energies are from meta-GGA r2SCAN.

Summary:
- total moment (μB per formula unit) = 0.000
- space group = P2_1/c
- E_form (eV/atom) = -2.142

Structure (POSCAR):
```
SrFe2O4
1.0
10.898 0.000 0.000
0.000 8.048 0.055
0.000 7.784 9.160
Fe O Sr
16 32 8
Direct
0.362 0.156 0.568
0.863 0.115 0.590
0.363 0.885 0.910
0.138 0.156 0.068
0.886 0.252 0.932
0.114 0.335 0.408
0.137 0.885 0.410
0.862 0.844 0.932
0.638 0.844 0.432
0.614 0.665 0.092
0.614 0.252 0.432
0.114 0.748 0.068
0.886 0.665 0.592
0.637 0.115 0.090
0.386 0.748 0.568
0.386 0.335 0.908
0.728 0.036 0.252
0.220 0.670 0.587
0.367 0.034 0.483
0.133 0.034 0.983
0.780 0.330 0.413
0.228 0.964 0.248
0.240 0.402 0.950
0.523 0.798 0.922
0.523 0.432 0.254
0.740 0.598 0.550
0.977 0.432 0.754
0.881 0.845 0.638
0.760 0.598 0.050
0.619 0.845 0.138
0.023 0.568 0.246
0.119 0.155 0.362
0.023 0.202 0.578
0.633 0.966 0.517
0.720 0.330 0.913
0.518 0.248 0.563
0.977 0.798 0.422
0.272 0.964 0.748
0.982 0.248 0.063
0.018 0.752 0.937
0.477 0.568 0.746
0.477 0.202 0.078
0.260 0.402 0.450
0.867 0.966 0.017
0.482 0.752 0.437
0.381 0.155 0.862
0.772 0.036 0.752
0.280 0.670 0.087
0.107 0.728 0.761
0.153 0.284 0.710
0.347 0.284 0.210
0.393 0.728 0.261
0.653 0.716 0.790
0.607 0.272 0.739
0.847 0.716 0.290
0.893 0.272 0.239
```